Compound: YZnPd
Source: the Materials Project
Functional: meta-GGA r2SCAN
Structure: relaxed

Results
Energy relative to the elements ... -0.77 eV per atom

a b c (Å): 4.0881 7.0090 8.1445
angles (deg): 90.00 90.00 90.00
Fractional positions:
Zn: 0.2500 0.6371 0.4349
Zn: 0.7500 0.8629 0.9349
Y: 0.7500 0.4539 0.1905
Zn: 0.2500 0.1371 0.0651
Pd: 0.2500 0.2529 0.3827
Pd: 0.7500 0.7471 0.6173
Zn: 0.7500 0.3629 0.5651
Y: 0.2500 0.5461 0.8095
Y: 0.2500 0.0461 0.6905
Y: 0.7500 0.9539 0.3095
Pd: 0.7500 0.2471 0.8827
Pd: 0.2500 0.7529 0.1173